First-principles (PBE with a Hubbard U) data for a relaxed structure of Li9Fe23O32, as listed in the Materials Project database.

Cell: 8.5940 8.5940 8.5549 Å, 89.95 89.95 90.04°
Fractional positions:
Li 0.3719 0.6281 0.5000
Li 0.6223 0.8725 0.5016
Li 0.1284 0.8716 0.5000
Li 0.1275 0.3777 0.4984
Li 0.8766 0.3794 0.2506
Li 0.8753 0.6225 0.0025
Li 0.3775 0.1247 0.9975
Li 0.3744 0.6256 0.0000
Li 0.6206 0.1234 0.7494
Fe 0.8768 0.1232 0.5000
Fe 0.8792 0.6277 0.4984
Fe 0.3723 0.1208 0.5016
Fe 0.6226 0.3774 0.5000
Fe 0.8720 0.8705 0.2525
Fe 0.6212 0.1237 0.2516
Fe 0.3790 0.8740 0.2614
Fe 0.3722 0.3783 0.2528
Fe 0.6280 0.6221 0.2506
Fe 0.1245 0.1345 0.2540
Fe 0.1227 0.6172 0.2587
Fe 0.8734 0.1266 0.0000
Fe 0.6185 0.8708 0.9992
Fe 0.6202 0.3798 0.0000
Fe 0.1324 0.8676 0.0000
Fe 0.1292 0.3815 0.0008
Fe 0.8655 0.8755 0.7460
Fe 0.6217 0.6278 0.7472
Fe 0.3828 0.8773 0.7413
Fe 0.3779 0.3720 0.7494
Fe 0.8763 0.3788 0.7484
Fe 0.1295 0.1280 0.7475
Fe 0.1260 0.6210 0.7386
O 0.6335 0.1368 0.4966
O 0.6281 0.6114 0.5056
O 0.1159 0.1264 0.5055
O 0.1256 0.6248 0.4974
O 0.8736 0.8841 0.4945
O 0.8632 0.3665 0.5034
O 0.3752 0.8744 0.5026
O 0.3886 0.3719 0.4944
O 0.8768 0.1264 0.2499
O 0.6127 0.8718 0.2495
O 0.6276 0.3763 0.2452
O 0.1349 0.8709 0.2413
O 0.1219 0.3815 0.2503
O 0.8823 0.6234 0.2480
O 0.3715 0.1110 0.2489
O 0.3679 0.6375 0.2508
O 0.8841 0.8856 0.0046
O 0.6361 0.1302 0.0030
O 0.6261 0.6188 0.9937
O 0.3662 0.8763 0.9962
O 0.8698 0.3639 0.9970
O 0.3812 0.3739 0.0063
O 0.1144 0.1159 0.9954
O 0.1237 0.6338 0.0038
O 0.8736 0.1232 0.7501
O 0.8890 0.6285 0.7511
O 0.6185 0.8781 0.7497
O 0.3766 0.1177 0.7520
O 0.3625 0.6321 0.7492
O 0.6237 0.3724 0.7548
O 0.1291 0.8651 0.7587
O 0.1282 0.3873 0.7505

space-group type = C2, No. 5

---

First-principles (PBE with a Hubbard U) data for a relaxed structure of Ba2EuV3O11, as listed in the Materials Project database.

Cell: 7.8257 12.5154 11.4540 Å, 103.15 90.00 90.00°
Fractional positions:
Ba 0.2735 0.7660 0.9415
Ba 0.7265 0.2340 0.0585
Ba 0.7735 0.2340 0.5585
Ba 0.2265 0.7660 0.4415
Ba 0.7474 0.5543 0.8893
Ba 0.2526 0.4457 0.1107
Ba 0.2474 0.4457 0.6107
Ba 0.7526 0.5543 0.3893
Eu 0.4989 0.9977 0.7184
Eu 0.5011 0.0023 0.2816
Eu 0.9989 0.0023 0.7816
Eu 0.0011 0.9977 0.2184
V 0.7538 0.9040 0.9753
V 0.2462 0.0960 0.0247
V 0.2538 0.0960 0.5247
V 0.7462 0.9040 0.4753
V 0.5200 0.6831 0.6733
V 0.4800 0.3169 0.3267
V 0.0200 0.3169 0.8267
V 0.9800 0.6831 0.1733
V 0.9806 0.6865 0.6704
V 0.0194 0.3135 0.3296
V 0.4806 0.3135 0.8296
V 0.5194 0.6865 0.1704
O 0.4424 0.8154 0.7194
O 0.5576 0.1846 0.2806
O 0.9424 0.1846 0.7806
O 0.0576 0.8154 0.2194
O 0.5523 0.1801 0.8096
O 0.4477 0.8199 0.1904
O 0.0523 0.8199 0.6904
O 0.9477 0.1801 0.3096
O 0.7503 0.6675 0.6676
O 0.2497 0.3325 0.3324
O 0.2503 0.3325 0.8324
O 0.7497 0.6675 0.1676
O 0.9449 0.3756 0.9659
O 0.0551 0.6244 0.0341
O 0.4449 0.6244 0.5341
O 0.5551 0.3756 0.4659
O 0.9417 0.3931 0.7322
O 0.0583 0.6069 0.2678
O 0.4417 0.6069 0.7678
O 0.5583 0.3931 0.2322
O 0.7836 0.9865 0.6209
O 0.2164 0.0135 0.3791
O 0.2836 0.0135 0.8791
O 0.7164 0.9865 0.1209
O 0.9703 0.8791 0.9723
O 0.0297 0.1209 0.0277
O 0.4703 0.1209 0.5277
O 0.5297 0.8791 0.4723
O 0.6377 0.7857 0.9464
O 0.3623 0.2143 0.0536
O 0.1377 0.2143 0.5536
O 0.8623 0.7857 0.4464
O 0.7209 0.9830 0.8659
O 0.2791 0.0170 0.1341
O 0.2209 0.0170 0.6341
O 0.7791 0.9830 0.3659
O 0.5589 0.3706 0.7194
O 0.4411 0.6294 0.2806
O 0.0589 0.6294 0.7806
O 0.9411 0.3706 0.2194
O 0.5627 0.3883 0.9614
O 0.4373 0.6117 0.0386
O 0.0627 0.6117 0.5386
O 0.9373 0.3883 0.4614

space-group type = P2_1/c, No. 14

---

First-principles (PBE with a Hubbard U) data for a relaxed structure of Li3AlNiO4, as listed in the Materials Project database.

Cell: 9.9929 9.9929 9.9929 Å, 118.88 118.88 91.96°
Fractional positions:
Li 0.9380 0.1103 0.1650
Li 0.8120 0.1397 0.3350
Li 0.8897 0.0547 0.8277
Li 0.5230 0.1880 0.3277
Li 0.4438 0.2864 0.1276
Li 0.7176 0.5547 0.1305
Li 0.8603 0.1953 0.6723
Li 0.2270 0.0620 0.1723
Li 0.7136 0.8412 0.1574
Li 0.4453 0.5758 0.1629
Li 0.8047 0.4770 0.6650
Li 0.9453 0.7730 0.8350
Li 0.4128 0.2824 0.8371
Li 0.3047 0.6742 0.3371
Li 0.0364 0.4088 0.3426
Li 0.6837 0.5562 0.8426
Li 0.0324 0.6953 0.3695
Li 0.4242 0.5872 0.8695
Li 0.5912 0.9337 0.6276
Li 0.1588 0.3163 0.8724
Li 0.3062 0.9636 0.3724
Li 0.3258 0.6628 0.6305
Li 0.0663 0.6938 0.6574
Li 0.3372 0.9676 0.6629
Al 0.7479 0.4242 0.3100
Al 0.5621 0.2521 0.6763
Al 0.1742 0.3642 0.1763
Al 0.5758 0.8858 0.3237
Al 0.6358 0.8121 0.8100
Al 0.0021 0.8258 0.1900
Al 0.1142 0.4379 0.6900
Al 0.1879 0.9979 0.8237
Ni 0.4421 0.9251 0.9925
Ni 0.6751 0.1825 0.9830
Ni 0.5505 0.5579 0.4830
Ni 0.8175 0.8005 0.4925
Ni 0.3079 0.3249 0.5075
Ni 0.0749 0.0675 0.5170
Ni 0.1995 0.6921 0.0170
Ni 0.9325 0.4495 0.0075
O 0.8307 0.2684 0.2438
O 0.3369 0.0807 0.0623
O 0.5934 0.3543 0.0758
O 0.8663 0.6366 0.0903
O 0.8837 0.6134 0.4097
O 0.6471 0.3991 0.4037
O 0.4131 0.1693 0.4377
O 0.3634 0.4537 0.2298
O 0.5260 0.1163 0.7298
O 0.9193 0.9816 0.2562
O 0.1491 0.2454 0.2519
O 0.7565 0.3529 0.7519
O 0.6457 0.7215 0.2391
O 0.1043 0.5285 0.2609
O 0.4824 0.4066 0.7609
O 0.6009 0.0046 0.2481
O 0.7254 0.6631 0.7438
O 0.3866 0.7963 0.2702
O 0.2240 0.1337 0.7702
O 0.7316 0.9754 0.5623
O 0.4715 0.7324 0.5758
O 0.1029 0.8509 0.0963
O 0.9954 0.2435 0.5963
O 0.2037 0.4740 0.5903
O 0.5463 0.7760 0.9097
O 0.7546 0.0065 0.9037
O 0.2785 0.5176 0.9242
O 0.1566 0.8957 0.4242
O 0.0184 0.2746 0.9377
O 0.0246 0.5869 0.7562
O 0.2676 0.8434 0.7391
O 0.9935 0.8971 0.7481

space-group type = I4_1/a, No. 88

---

First-principles (PBE with a Hubbard U) data for a relaxed structure of LiLa2MoO6, as listed in the Materials Project database.

Cell: 5.7951 5.6318 9.7224 Å, 55.77 90.00 90.00°
Fractional positions:
Li 0.0000 0.0000 0.0000
Li 0.5000 0.0000 0.5000
La 0.9415 0.7668 0.7439
La 0.4415 0.2332 0.7561
La 0.5585 0.7668 0.2439
La 0.0585 0.2332 0.2561
Mo 0.5000 0.5000 0.0000
Mo 0.0000 0.5000 0.5000
O 0.7791 0.2683 0.0528
O 0.7209 0.2683 0.5528
O 0.2209 0.7317 0.9472
O 0.2791 0.7317 0.4472
O 0.1885 0.1563 0.5491
O 0.4671 0.3544 0.2439
O 0.8115 0.8437 0.4509
O 0.3115 0.1563 0.0491
O 0.6885 0.8437 0.9509
O 0.5329 0.6456 0.7561
O 0.0329 0.3544 0.7439
O 0.9671 0.6456 0.2561

space-group type = P2_1/c, No. 14

---

First-principles (PBE with a Hubbard U) data for a relaxed structure of VCuP2O8, as listed in the Materials Project database.

Cell: 5.9193 4.8527 9.7948 Å, 88.39 90.00 90.00°
Fractional positions:
V 0.7500 0.5334 0.2205
V 0.2500 0.4666 0.7795
Cu 0.2500 0.0857 0.2835
Cu 0.7500 0.9143 0.7165
P 0.2500 0.5698 0.0948
P 0.7500 0.0913 0.4014
P 0.2500 0.9087 0.5986
P 0.7500 0.4302 0.9052
O 0.7500 0.3287 0.0568
O 0.2500 0.2564 0.1058
O 0.0359 0.6952 0.1668
O 0.4641 0.6952 0.1668
O 0.9451 0.2552 0.3238
O 0.5549 0.2552 0.3238
O 0.7500 0.7834 0.3704
O 0.2500 0.8582 0.4471
O 0.7500 0.1418 0.5529
O 0.2500 0.2166 0.6296
O 0.0549 0.7448 0.6762
O 0.4451 0.7448 0.6762
O 0.5359 0.3048 0.8332
O 0.9641 0.3048 0.8332
O 0.7500 0.7436 0.8942
O 0.2500 0.6713 0.9432

space-group type = P2_1/m, No. 11

---

First-principles (PBE with a Hubbard U) data for a relaxed structure of LiMn6O4F8, as listed in the Materials Project database.

Cell: 5.0039 8.0180 5.7710 Å, 94.19 92.59 87.37°
Fractional positions:
Li 0.0130 0.1646 0.6764
Mn 0.4962 0.9923 0.5090
Mn 0.5563 0.6574 0.1544
Mn 0.4917 0.3404 0.8163
Mn 0.9609 0.6687 0.6566
Mn 0.0233 0.3435 0.2966
Mn 0.9717 0.9601 0.0403
O 0.7937 0.7464 0.9370
O 0.6857 0.7575 0.4633
O 0.6741 0.4300 0.1070
O 0.3217 0.2383 0.5385
F 0.8202 0.4044 0.6291
F 0.8465 0.0975 0.3427
F 0.6995 0.1057 0.8274
F 0.2764 0.5670 0.8490
F 0.3422 0.8850 0.1794
F 0.1697 0.5852 0.3732
F 0.1838 0.2184 0.9974
F 0.1597 0.9210 0.6999

energy above the most stable polymorph in this dataset = 0.0067 eV per atom
space-group type = P1, No. 1

---

Formation energy
In order: -1.703 -2.880 -2.248 -3.065 -2.308 -2.524
Unit: eV/atom
Density
In order: 4.9 4.6 3.2 6.0 3.6 4.0
Unit: g/cm3